DFT (r²SCAN) results for a geometry-optimized NdAsS structure.

Cell: 17.5407 3.9143 3.9819 Å, 90.00 90.00 90.00°
Closest atoms and distances in Å follow each position.
Fractional coordinates of all 12 atoms:
Nd  0.1455  0.2500  0.2279  5 S 2.88-2.94, 1 As 3.15
Nd  0.3545  0.7500  0.7279  5 S 2.88-2.94, 1 As 3.15
Nd  0.6455  0.2500  0.2721  5 S 2.88-2.94, 1 As 3.15
Nd  0.8545  0.7500  0.7721  5 S 2.88-2.94, 1 As 3.15
As  0.0020  0.2500  0.7046  2 As 2.55
As  0.4980  0.7500  0.2046  2 As 2.55
As  0.5020  0.2500  0.7954  2 As 2.55
As  0.9980  0.7500  0.2954  2 As 2.55
S  0.1868  0.7500  0.7302  5 Nd 2.88-2.94
S  0.3132  0.2500  0.2302  5 Nd 2.88-2.94
S  0.6868  0.7500  0.7698  5 Nd 2.88-2.94
S  0.8132  0.2500  0.2698  5 Nd 2.88-2.94

## Properties
ΔE_f: -1.807 eV per atom
Calculated density: 6.10 g/cm3
V: 22.8 Å³ per atom
Symmetry: Pnma, No. 62
Magnetic moment: 0.0 μB per cell

=====

DFT (r²SCAN) results for a geometry-optimized RbGeI3 structure.

Cell: 4.6906 10.3001 16.9046 Å, 90.00 90.00 90.00°
Closest atoms and distances in Å follow each position.
Fractional coordinates of all 20 atoms:
Rb  0.0122  0.1735  0.3306  8 I 3.76-3.93
Rb  0.4878  0.8265  0.8306  8 I 3.76-3.93
Rb  0.5122  0.3265  0.6694  8 I 3.76-3.93
Rb  0.9878  0.6735  0.1694  8 I 3.76-3.93
Ge  0.0698  0.4078  0.9350  3 I 2.81-2.83
Ge  0.4302  0.5922  0.4350  3 I 2.81-2.83
Ge  0.5698  0.0922  0.0650  3 I 2.81-2.83
Ge  0.9302  0.9078  0.5650  3 I 2.81-2.83
I  0.0138  0.7708  0.3856  1 Ge 2.81
I  0.0153  0.5383  0.7887  1 Ge 2.83
I  0.0297  0.4189  0.5007  1 Ge 2.82
I  0.4703  0.5811  0.0007  1 Ge 2.82
I  0.4847  0.4617  0.2887  1 Ge 2.83
I  0.4862  0.2292  0.8856  1 Ge 2.81
I  0.5138  0.7292  0.6144  1 Ge 2.81
I  0.5153  0.9617  0.2113  1 Ge 2.83
I  0.5297  0.0811  0.4993  1 Ge 2.82
I  0.9703  0.9189  0.9993  1 Ge 2.82
I  0.9847  0.0383  0.7113  1 Ge 2.83
I  0.9862  0.2708  0.1144  1 Ge 2.81

## Properties
ΔE_f: -0.888 eV per atom
Calculated density: 4.38 g/cm3
V: 40.8 Å³ per atom
Symmetry: P2_12_12_1, No. 19
Magnetic moment: 0.0 μB per cell